Record 1
Entry from the Materials Project database: a geometry-optimized YO2 structure (PBE).

The structure in POSCAR format:
```
YO2
1.0
6.138 0.000 0.000
0.000 6.168 0.000
-3.082 0.000 5.821
Y O
4 8
Cartesian
0.753 0.756 1.463
-0.789 2.328 4.374
3.844 3.840 1.447
2.303 5.412 4.358
-2.411 0.886 4.945
-0.870 2.198 2.034
0.776 0.808 3.808
2.317 2.276 0.897
0.738 3.892 4.925
2.280 5.360 2.014
3.926 3.970 3.787
5.467 5.282 0.876
```

Calculated values
- Total magnetization: 4.00 Bohr magnetons per cell
- Calculated volume: 220.4 Å³/cell
- Total energy: -95.85 eV per cell
- Formation energy: -2.9917 eV per atom
- Total energy after the MP2020 corrections: -101.4 eV per cell

Record 2
Entry from the Materials Project database: a geometry-optimized YZr5O12 structure (PBE).

The structure in POSCAR format:
```
YZr5O12
1.0
5.871 -2.585 0.000
5.871 2.585 0.000
-2.412 0.000 6.996
Y Zr O
1 5 12
Cartesian
0.000 0.000 0.000
4.665 2.555 3.498
3.506 0.014 1.163
2.310 -0.001 4.657
5.825 0.014 5.832
7.021 -0.001 2.339
1.532 1.275 6.460
3.049 1.304 2.841
3.954 1.223 5.240
5.377 1.223 1.756
6.282 1.304 4.154
7.799 1.275 0.535
2.732 -1.288 2.997
1.772 -1.230 6.310
5.091 -1.290 1.866
4.240 -1.290 5.130
7.559 -1.230 0.685
6.599 -1.288 3.999
```

Calculated values
- Total magnetization: 0.06 Bohr magnetons per cell
- Calculated volume: 212.3 Å³/cell
- Total energy: -166.18 eV per cell
- Formation energy: -3.6579 eV per atom
- Total energy after the MP2020 corrections: -174.4 eV per cell

Record 3
Entry from the Materials Project database: a geometry-optimized Y2Zr9O22 structure (PBE).

The structure in POSCAR format:
```
Y2Zr9O22
1.0
6.390 0.000 0.000
0.000 3.681 0.000
-2.327 0.000 33.083
Y Zr O
4 18 44
Cartesian
0.000 0.000 0.000
-0.059 0.000 9.025
-0.191 0.000 27.060
1.944 0.000 21.031
-1.244 1.841 21.050
-1.272 1.841 30.069
-0.162 0.000 18.004
1.005 1.841 6.025
0.936 1.841 15.024
2.076 0.000 3.031
0.869 1.841 24.037
2.034 0.000 12.044
3.192 1.841 0.024
3.140 1.841 9.048
1.924 0.000 30.085
3.040 1.841 18.034
4.201 0.000 5.997
3.002 1.841 27.073
4.123 0.000 15.025
5.271 1.841 2.991
4.067 0.000 24.052
5.221 1.841 12.017
-0.085 0.000 2.435
-1.134 1.841 18.598
-0.170 0.000 6.721
-1.251 1.841 23.274
-1.322 1.841 27.857
-0.150 0.000 11.471
-0.271 0.000 15.830
-0.349 0.000 20.219
-1.122 1.841 32.244
1.131 1.841 3.743
-0.256 0.000 24.727
1.164 1.841 8.167
-0.220 0.000 29.452
1.103 1.841 12.762
2.140 0.000 0.890
1.026 1.841 17.156
0.811 1.841 21.811
1.985 0.000 5.343
2.076 0.000 9.921
0.997 1.841 26.217
1.902 0.000 14.415
0.950 1.841 30.769
1.844 0.000 18.726
3.213 1.841 2.267
1.926 0.000 23.413
3.236 1.841 6.615
1.977 0.000 27.906
3.181 1.841 11.281
1.780 0.000 32.325
3.197 1.841 15.675
4.116 0.000 3.808
3.160 1.841 20.161
4.009 0.000 8.230
3.076 1.841 24.749
4.046 0.000 12.868
3.013 1.841 29.313
3.972 0.000 17.325
5.273 1.841 0.791
4.114 0.000 21.867
5.358 1.841 5.165
3.940 0.000 26.281
5.219 1.841 9.797
3.987 0.000 30.768
5.324 1.841 14.197
```

Calculated values
- Total magnetization: 0.00 Bohr magnetons per cell
- Calculated volume: 778.3 Å³/cell
- Total energy: -608.14 eV per cell
- Formation energy: -3.6505 eV per atom
- Total energy after the MP2020 corrections: -638.4 eV per cell

Record 4
Entry from the Materials Project database: a geometry-optimized YZr5O11 structure (PBE).

The structure in POSCAR format:
```
YZr5O11
1.0
6.571 0.000 0.000
0.000 3.578 0.000
-0.041 0.000 9.077
Y Zr O
1 5 11
Cartesian
0.000 0.000 0.000
1.029 1.789 3.041
2.285 0.000 6.045
3.181 1.789 0.006
4.419 0.000 2.984
5.451 1.789 6.015
1.272 1.789 0.925
1.305 1.789 5.546
1.947 0.000 3.650
2.015 0.000 8.109
3.522 1.789 2.342
3.623 1.789 7.010
4.131 0.000 5.084
4.248 0.000 0.479
5.700 1.789 3.953
6.167 0.000 6.791
6.320 0.000 2.227
```

Calculated values
- Total magnetization: 0.99 Bohr magnetons per cell
- Calculated volume: 213.4 Å³/cell
- Total energy: -159.07 eV per cell
- Formation energy: -3.7055 eV per atom
- Total energy after the MP2020 corrections: -166.6 eV per cell

Record 5
Entry from the Materials Project database: a geometry-optimized YZr4O9 structure (PBE).

The structure in POSCAR format:
```
YZr4O9
1.0
5.254 0.000 0.000
2.346 5.704 0.000
2.286 0.169 5.931
Y Zr O
1 4 9
Cartesian
0.000 0.000 0.000
2.785 2.499 1.258
4.868 4.916 2.545
5.238 1.491 3.269
7.332 3.900 4.713
1.312 0.991 1.660
3.662 2.939 3.198
4.082 4.235 0.703
6.175 5.704 4.281
3.893 0.602 1.719
6.224 2.116 5.224
6.355 3.403 2.830
8.715 5.463 3.964
6.721 3.580 0.045
```

Calculated values
- Total magnetization: 1.00 Bohr magnetons per cell
- Calculated volume: 177.8 Å³/cell
- Total energy: -131.06 eV per cell
- Formation energy: -3.7180 eV per atom
- Total energy after the MP2020 corrections: -137.2 eV per cell

Record 6
Entry from the Materials Project database: a geometry-optimized Y6Zr22O53 structure (PBE).

The structure in POSCAR format:
```
Y6Zr22O53
1.0
3.627 0.000 0.000
0.000 3.731 0.000
0.000 0.000 74.429
Y Zr O
6 22 53
Cartesian
0.000 0.000 0.000
0.000 0.000 4.984
0.000 0.000 10.661
0.000 0.000 15.645
0.000 0.000 21.277
0.000 0.000 68.703
0.000 0.000 26.446
0.000 0.000 31.729
0.000 0.000 37.038
0.000 0.000 42.356
0.000 0.000 47.678
0.000 0.000 53.004
0.000 0.000 58.320
0.000 0.000 63.591
1.814 1.866 2.500
1.814 1.866 7.580
1.814 1.866 13.159
1.814 1.866 18.244
1.814 1.866 23.844
1.814 1.866 29.108
1.814 1.866 34.409
1.814 1.866 39.724
1.814 1.866 45.045
1.814 1.866 50.369
1.814 1.866 55.692
1.814 1.866 60.987
1.814 1.866 66.202
1.814 1.866 71.318
0.000 1.866 1.260
0.000 1.866 3.769
0.000 1.866 6.473
0.000 1.866 9.091
0.000 1.866 11.926
0.000 1.866 14.436
0.000 1.866 17.145
0.000 1.866 19.768
0.000 1.866 22.746
0.000 1.866 25.399
0.000 1.866 28.036
0.000 1.866 30.697
0.000 1.866 33.344
0.000 1.866 36.010
0.000 1.866 38.661
0.000 1.866 41.330
0.000 1.866 43.983
0.000 1.866 46.652
0.000 1.866 49.306
0.000 1.866 51.976
0.000 1.866 54.625
0.000 1.866 57.281
0.000 1.866 59.897
0.000 1.866 62.500
0.000 1.866 65.023
0.000 1.866 67.531
0.000 1.866 70.222
0.000 1.866 72.845
1.814 0.000 1.114
1.814 0.000 3.706
1.814 0.000 6.850
1.814 0.000 11.767
1.814 0.000 14.358
1.814 0.000 17.501
1.814 0.000 22.283
1.814 0.000 24.846
1.814 0.000 27.470
1.814 0.000 30.092
1.814 0.000 32.744
1.814 0.000 35.387
1.814 0.000 38.051
1.814 0.000 40.701
1.814 0.000 43.368
1.814 0.000 46.021
1.814 0.000 48.691
1.814 0.000 51.347
1.814 0.000 54.020
1.814 0.000 56.678
1.814 0.000 59.354
1.814 0.000 62.013
1.814 0.000 64.699
1.814 0.000 67.359
1.814 0.000 70.568
```

Calculated values
- Total magnetization: 0.00 Bohr magnetons per cell
- Calculated volume: 1007.4 Å³/cell
- Total energy: -755.75 eV per cell
- Formation energy: -3.7416 eV per atom
- Total energy after the MP2020 corrections: -792.2 eV per cell
- Excess energy over the best structure of this formula in the dataset: 0.0000 eV per atom